No. 1
# NaTiPO5 (GGA-PBE, optimized geometry)
# VASP energy in Ry per atom: -0.5507
data_NaTiPO5
_symmetry_space_group_name_H-M 'P 1 21 1'
_symmetry_Int_Tables_number 4
_symmetry_space_group_name_Hall 'P 2yb'
_cell_length_a 8.816
_cell_length_b 10.674
_cell_length_c 9.252
_cell_angle_alpha 90.00
_cell_angle_beta 90.02
_cell_angle_gamma 90.00
loop_
_atom_site_label
_atom_site_fract_x
_atom_site_fract_y
_atom_site_fract_z
_atom_site_occupancy
Na1 0.023 0.000 0.201 1
Na2 0.232 0.695 0.490 1
Na3 0.250 0.146 0.857 1
Na4 0.476 0.293 0.201 1
Ti1 0.115 0.260 0.361 1
Ti2 0.122 0.526 0.148 1
Ti3 0.378 0.766 0.148 1
Ti4 0.390 0.032 0.364 1
P1 0.076 0.771 0.943 1
P2 0.088 0.006 0.559 1
P3 0.411 0.287 0.560 1
P4 0.424 0.522 0.944 1
O1 0.001 0.668 0.039 1
O2 0.005 0.097 0.456 1
O3 0.006 0.900 0.976 1
O4 0.040 0.869 0.529 1
O5 0.053 0.731 0.783 1
O6 0.058 0.045 0.719 1
O7 0.192 0.394 0.259 1
O8 0.237 0.280 0.536 1
O9 0.248 0.782 0.974 1
O10 0.250 0.647 0.229 1
O11 0.251 0.146 0.281 1
O12 0.252 0.511 0.974 1
O13 0.263 0.012 0.536 1
O14 0.309 0.897 0.261 1
O15 0.442 0.248 0.719 1
O16 0.448 0.562 0.784 1
O17 0.464 0.422 0.530 1
O18 0.494 0.392 0.976 1
O19 0.497 0.196 0.456 1
O20 0.499 0.625 0.039 1

***

No. 2
# NaTiP2O7 (GGA-PBE, optimized geometry)
# VASP energy in Ry per atom: -0.5421
data_NaTiP2O7
_symmetry_space_group_name_H-M 'P 1 21/c 1'
_symmetry_Int_Tables_number 14
_symmetry_space_group_name_Hall '-P 2ybc'
_cell_length_a 7.480
_cell_length_b 8.037
_cell_length_c 9.848
_cell_angle_alpha 90.00
_cell_angle_beta 111.67
_cell_angle_gamma 90.00
loop_
_atom_site_label
_atom_site_fract_x
_atom_site_fract_y
_atom_site_fract_z
_atom_site_occupancy
Na1 0.216 0.022 0.210 1
Ti1 0.239 0.009 0.750 1
P1 0.172 0.713 0.953 1
P2 0.429 0.244 0.046 1
O1 0.034 0.587 0.851 1
O2 0.131 0.607 0.397 1
O3 0.193 0.700 0.113 1
O4 0.318 0.215 0.882 1
O5 0.324 0.137 0.609 1
O6 0.374 0.657 0.938 1
O7 0.488 0.082 0.135 1

***

No. 3
# NaTiPO5 (GGA-PBE, optimized geometry)
# VASP energy in Ry per atom: -0.5504
data_NaTiPO5
_symmetry_space_group_name_H-M 'P n a 21'
_symmetry_Int_Tables_number 33
_symmetry_space_group_name_Hall 'P 2c -2n'
_cell_length_a 12.727
_cell_length_b 6.327
_cell_length_c 10.690
_cell_angle_alpha 90.00
_cell_angle_beta 90.00
_cell_angle_gamma 90.00
loop_
_atom_site_label
_atom_site_fract_x
_atom_site_fract_y
_atom_site_fract_z
_atom_site_occupancy
Na1 0.100 0.244 0.000 1
Na2 0.157 0.702 0.701 1
Ti1 0.129 0.980 0.426 1
Ti2 0.228 0.713 0.163 1
P1 0.018 0.158 0.694 1
P2 0.184 0.476 0.431 1
O1 0.005 0.068 0.829 1
O2 0.027 0.974 0.600 1
O3 0.076 0.695 0.160 1
O4 0.109 0.285 0.421 1
O5 0.118 0.670 0.469 1
O6 0.119 0.297 0.695 1
O7 0.210 0.951 0.295 1
O8 0.230 0.945 0.033 1
O9 0.241 0.507 0.304 1
O10 0.243 0.008 0.551 1

***

No. 4
# NaTi3P3O13 (GGA-PBE, optimized geometry)
# VASP energy in Ry per atom: -0.5749
data_NaTi3P3O13
_symmetry_space_group_name_H-M 'P 1 21/m 1'
_symmetry_Int_Tables_number 11
_symmetry_space_group_name_Hall '-P 2yb'
_cell_length_a 7.704
_cell_length_b 6.410
_cell_length_c 10.444
_cell_angle_alpha 90.00
_cell_angle_beta 99.36
_cell_angle_gamma 90.00
loop_
_atom_site_label
_atom_site_fract_x
_atom_site_fract_y
_atom_site_fract_z
_atom_site_occupancy
Na1 0.155 0.250 0.185 1
Ti1 0.143 0.250 0.805 1
Ti2 0.291 0.750 0.439 1
Ti3 0.500 0.000 0.000 1
P1 0.189 0.750 0.117 1
P2 0.239 0.750 0.763 1
P3 0.278 0.250 0.514 1
O1 0.003 0.250 0.956 1
O2 0.129 0.559 0.788 1
O3 0.150 0.750 0.261 1
O4 0.160 0.250 0.617 1
O5 0.247 0.057 0.425 1
O6 0.288 0.750 0.626 1
O7 0.292 0.551 0.093 1
O8 0.364 0.250 0.902 1
O9 0.414 0.750 0.866 1
O10 0.476 0.250 0.584 1

***

No. 5
# NaTiPO5 (GGA-PBE, optimized geometry)
# VASP energy in Ry per atom: -0.5507
data_NaTiPO5
_symmetry_space_group_name_H-M 'P 1 21/c 1'
_symmetry_Int_Tables_number 14
_symmetry_space_group_name_Hall '-P 2ybc'
_cell_length_a 6.726
_cell_length_b 8.583
_cell_length_c 7.210
_cell_angle_alpha 90.00
_cell_angle_beta 115.39
_cell_angle_gamma 90.00
loop_
_atom_site_label
_atom_site_fract_x
_atom_site_fract_y
_atom_site_fract_z
_atom_site_occupancy
Na1 0.250 0.079 0.228 1
Ti1 0.251 0.743 0.983 1
P1 0.250 0.071 0.749 1
O1 0.063 0.178 0.601 1
O2 0.163 0.533 0.377 1
O3 0.252 0.682 0.752 1
O4 0.341 0.531 0.125 1
O5 0.430 0.182 0.896 1

***

No. 6
# Na3TiP8O23 (GGA-PBE, optimized geometry)
# VASP energy in Ry per atom: -0.5172
data_Na3TiP8O23
_symmetry_space_group_name_H-M 'P 41 3 2'
_symmetry_Int_Tables_number 213
_symmetry_space_group_name_Hall 'P 4bd 2ab 3'
_cell_length_a 12.193
_cell_length_b 12.193
_cell_length_c 12.193
_cell_angle_alpha 90.00
_cell_angle_beta 90.00
_cell_angle_gamma 90.00
loop_
_atom_site_label
_atom_site_fract_x
_atom_site_fract_y
_atom_site_fract_z
_atom_site_occupancy
Na1 0.044 0.294 0.125 1
Ti1 0.125 0.625 0.875 1
P1 0.017 0.017 0.017 1
P2 0.068 0.358 0.854 1
O1 0.009 0.404 0.425 1
O2 0.011 0.817 0.563 1
O3 0.016 0.375 0.734 1
O4 0.042 0.120 0.635 1
O5 0.087 0.087 0.087 1

***

Formation enthalpy at 0 K
In order: -3.00 -2.84 -3.00 -2.99 -3.00 -2.66
Unit: eV per atom